Na9ZrP4ClO16 | PBE-GGA | optimized geometry

Cell lengths 5.440, 9.168, 9.266 Å; angles 111.08, 91.88, 90.30 degrees
Atoms (fractional coordinates):
1 Na 0.000 0.000 0.000
2 Na 0.003 0.610 0.586
3 Na 0.368 0.152 0.792
4 Na 0.404 0.533 0.018
5 Na 0.464 0.674 0.414
6 Na 0.475 0.253 0.194
7 Na 0.484 0.816 0.824
8 Na 0.870 0.348 0.837
9 Na 0.918 0.744 0.255
10 Zr 0.961 0.171 0.424
11 P 0.434 0.935 0.225
12 P 0.481 0.414 0.611
13 P 0.912 0.960 0.668
14 P 0.982 0.383 0.168
15 Cl 0.953 0.671 0.923
16 O 0.108 0.523 0.297
17 O 0.149 0.317 0.027
18 O 0.152 0.919 0.737
19 O 0.173 0.978 0.299
20 O 0.288 0.306 0.488
21 O 0.430 0.974 0.077
22 O 0.437 0.583 0.622
23 O 0.464 0.385 0.763
24 O 0.485 0.766 0.208
25 O 0.637 0.044 0.339
26 O 0.723 0.022 0.796
27 O 0.724 0.425 0.121
28 O 0.747 0.368 0.547
29 O 0.817 0.822 0.526
30 O 0.942 0.241 0.228
31 O 0.981 0.108 0.620

- energy (eV for the cell shown) = -195.18
- energy relative to the elements (eV/atom) = -2.6793

Na3Pb2S3ClO12 | PBE-GGA | optimized geometry

Cell lengths 9.963, 7.179, 10.018 Å; angles 90.00, 119.82, 90.00 degrees
Atoms (fractional coordinates):
1 Na 0.160 0.003 0.325
2 Na 0.160 0.497 0.325
3 Na 0.237 0.250 0.997
4 Na 0.763 0.750 0.003
5 Na 0.840 0.503 0.675
6 Na 0.840 0.997 0.675
7 Pb 0.242 0.750 0.747
8 Pb 0.489 0.750 0.241
9 Pb 0.511 0.250 0.759
10 Pb 0.758 0.250 0.253
11 S 0.087 0.250 0.618
12 S 0.123 0.750 0.035
13 S 0.467 0.750 0.587
14 S 0.533 0.250 0.413
15 S 0.877 0.250 0.965
16 S 0.913 0.750 0.382
17 Cl 0.500 0.000 0.000
18 Cl 0.500 0.500 0.000
19 O 0.019 0.750 0.866
20 O 0.034 0.750 0.118
21 O 0.088 0.750 0.464
22 O 0.141 0.250 0.505
23 O 0.142 0.083 0.720
24 O 0.142 0.417 0.720
25 O 0.228 0.582 0.085
26 O 0.228 0.918 0.085
27 O 0.366 0.250 0.355
28 O 0.377 0.750 0.414
29 O 0.417 0.583 0.642
30 O 0.417 0.917 0.642
31 O 0.583 0.083 0.358
32 O 0.583 0.417 0.358
33 O 0.623 0.250 0.586
34 O 0.634 0.750 0.645
35 O 0.772 0.082 0.915
36 O 0.772 0.418 0.915
37 O 0.858 0.583 0.280
38 O 0.858 0.917 0.280
39 O 0.859 0.750 0.495
40 O 0.912 0.250 0.536
41 O 0.966 0.250 0.882
42 O 0.981 0.250 0.134

- energy (eV for the cell shown) = -238.10
- energy relative to the elements (eV/atom) = -2.0128

Na3Pb2S3ClO12 | PBE-GGA | optimized geometry

Cell lengths 10.017, 7.143, 17.380 Å; angles 90.00, 90.18, 90.00 degrees
Atoms (fractional coordinates):
1 Na 0.001 0.000 0.335
2 Na 0.007 0.487 0.339
3 Na 0.139 0.240 0.130
4 Na 0.233 0.246 0.505
5 Na 0.497 0.499 0.167
6 Na 0.497 0.987 0.165
7 Na 0.503 0.487 0.835
8 Na 0.503 0.999 0.833
9 Na 0.767 0.746 0.495
10 Na 0.861 0.740 0.870
11 Na 0.993 0.987 0.661
12 Na 0.999 0.500 0.665
13 Pb 0.117 0.244 0.874
14 Pb 0.251 0.744 0.001
15 Pb 0.370 0.738 0.381
16 Pb 0.375 0.744 0.625
17 Pb 0.625 0.244 0.375
18 Pb 0.630 0.238 0.619
19 Pb 0.749 0.244 0.999
20 Pb 0.883 0.744 0.126
21 S 0.106 0.747 0.482
22 S 0.174 0.741 0.204
23 S 0.221 0.743 0.811
24 S 0.275 0.244 0.694
25 S 0.330 0.241 0.294
26 S 0.397 0.241 0.019
27 S 0.603 0.741 0.981
28 S 0.670 0.741 0.706
29 S 0.725 0.744 0.306
30 S 0.779 0.243 0.189
31 S 0.826 0.241 0.796
32 S 0.894 0.247 0.518
33 Cl 0.006 0.011 0.006
34 Cl 0.486 0.471 0.500
35 Cl 0.514 0.971 0.500
36 Cl 0.994 0.511 0.994
37 O 0.022 0.253 0.561
38 O 0.086 0.745 0.567
39 O 0.097 0.912 0.180
40 O 0.098 0.575 0.174
41 O 0.106 0.741 0.758
42 O 0.141 0.228 0.733
43 O 0.176 0.732 0.290
44 O 0.183 0.575 0.457
45 O 0.191 0.913 0.459
46 O 0.195 0.243 0.328
47 O 0.216 0.907 0.865
48 O 0.226 0.572 0.861
49 O 0.274 0.419 0.647
50 O 0.288 0.083 0.639
51 O 0.312 0.744 0.173
52 O 0.315 0.406 0.042
53 O 0.327 0.236 0.209
54 O 0.328 0.069 0.045
55 O 0.351 0.754 0.768
56 O 0.384 0.243 0.752
57 O 0.410 0.076 0.323
58 O 0.410 0.411 0.318
59 O 0.420 0.240 0.934
60 O 0.471 0.752 0.938
61 O 0.529 0.252 0.062
62 O 0.580 0.740 0.066
63 O 0.590 0.576 0.677
64 O 0.590 0.911 0.682
65 O 0.616 0.743 0.248
66 O 0.649 0.254 0.232
67 O 0.672 0.569 0.955
68 O 0.673 0.736 0.791
69 O 0.685 0.906 0.958
70 O 0.688 0.244 0.827
71 O 0.712 0.583 0.361
72 O 0.726 0.919 0.353
73 O 0.774 0.072 0.139
74 O 0.784 0.407 0.135
75 O 0.805 0.743 0.672
76 O 0.809 0.413 0.541
77 O 0.817 0.075 0.543
78 O 0.824 0.232 0.710
79 O 0.859 0.728 0.267
80 O 0.894 0.241 0.242
81 O 0.902 0.075 0.826
82 O 0.903 0.412 0.820
83 O 0.914 0.245 0.433
84 O 0.978 0.753 0.439

- energy (eV for the cell shown) = -476.25
- energy relative to the elements (eV/atom) = -2.0134

Na2Pr4Cl9O2 | PBE-GGA | optimized geometry

Cell lengths 8.307, 11.570, 9.391 Å; angles 90.00, 106.90, 90.00 degrees
Atoms (fractional coordinates):
1 Na 0.229 0.015 0.433
2 Na 0.229 0.485 0.433
3 Na 0.771 0.515 0.567
4 Na 0.771 0.985 0.567
5 Pr 0.279 0.546 0.952
6 Pr 0.279 0.954 0.952
7 Pr 0.371 0.250 0.781
8 Pr 0.389 0.250 0.165
9 Pr 0.611 0.750 0.835
10 Pr 0.629 0.750 0.219
11 Pr 0.721 0.046 0.048
12 Pr 0.721 0.454 0.048
13 Cl 0.100 0.081 0.685
14 Cl 0.100 0.419 0.685
15 Cl 0.107 0.093 0.123
16 Cl 0.107 0.407 0.123
17 Cl 0.241 0.750 0.753
18 Cl 0.261 0.750 0.137
19 Cl 0.331 0.250 0.461
20 Cl 0.499 0.503 0.701
21 Cl 0.499 0.997 0.701
22 Cl 0.501 0.003 0.299
23 Cl 0.501 0.497 0.299
24 Cl 0.669 0.750 0.539
25 Cl 0.739 0.250 0.863
26 Cl 0.759 0.250 0.247
27 Cl 0.893 0.593 0.877
28 Cl 0.893 0.907 0.877
29 Cl 0.900 0.581 0.315
30 Cl 0.900 0.919 0.315
31 O 0.448 0.119 0.986
32 O 0.448 0.381 0.986
33 O 0.552 0.619 0.014
34 O 0.552 0.881 0.014

- energy (eV for the cell shown) = -177.08
- energy relative to the elements (eV/atom) = -2.4477

Na21ZnS10Cl3O40 | PBE-GGA | optimized geometry

Cell lengths 13.962, 13.962, 13.877 Å; angles 109.46, 109.46, 109.72 degrees
Atoms (fractional coordinates):
1 Na 0.004 0.030 0.270
2 Na 0.012 0.236 0.518
3 Na 0.021 0.317 0.840
4 Na 0.022 0.978 0.500
5 Na 0.030 0.004 0.770
6 Na 0.041 0.768 0.574
7 Na 0.049 0.779 0.081
8 Na 0.062 0.523 0.591
9 Na 0.123 0.623 0.896
10 Na 0.228 0.479 0.290
11 Na 0.236 0.012 0.018
12 Na 0.245 0.740 0.286
13 Na 0.265 0.300 0.814
14 Na 0.274 0.928 0.546
15 Na 0.279 0.807 0.824
16 Na 0.300 0.265 0.314
17 Na 0.305 0.549 0.052
18 Na 0.317 0.021 0.340
19 Na 0.479 0.228 0.790
20 Na 0.498 0.506 0.305
21 Na 0.506 0.498 0.805
22 Na 0.518 0.748 0.015
23 Na 0.523 0.062 0.091
24 Na 0.531 0.735 0.758
25 Na 0.534 0.998 0.776
26 Na 0.546 0.805 0.541
27 Na 0.549 0.305 0.552
28 Na 0.569 0.821 0.298
29 Na 0.623 0.123 0.396
30 Na 0.735 0.531 0.258
31 Na 0.740 0.245 0.786
32 Na 0.748 0.518 0.515
33 Na 0.768 0.041 0.074
34 Na 0.774 0.774 0.197
35 Na 0.774 0.774 0.697
36 Na 0.779 0.049 0.581
37 Na 0.805 0.546 0.041
38 Na 0.807 0.279 0.324
39 Na 0.821 0.569 0.798
40 Na 0.928 0.274 0.046
41 Na 0.978 0.022 0.000
42 Na 0.998 0.534 0.276
43 Zn 0.274 0.440 0.546
44 Zn 0.440 0.274 0.046
45 S 0.004 0.755 0.796
46 S 0.024 0.504 0.027
47 S 0.024 0.793 0.316
48 S 0.046 0.297 0.304
49 S 0.194 0.274 0.047
50 S 0.260 0.525 0.774
51 S 0.274 0.194 0.547
52 S 0.274 0.691 0.547
53 S 0.297 0.046 0.804
54 S 0.356 0.855 0.128
55 S 0.504 0.024 0.527
56 S 0.515 0.538 0.560
57 S 0.525 0.260 0.274
58 S 0.538 0.515 0.060
59 S 0.691 0.274 0.047
60 S 0.755 0.004 0.296
61 S 0.773 0.773 0.464
62 S 0.773 0.773 0.964
63 S 0.793 0.024 0.816
64 S 0.855 0.356 0.628
65 Cl 0.025 0.149 0.672
66 Cl 0.149 0.025 0.172
67 Cl 0.400 0.649 0.297
68 Cl 0.523 0.899 0.920
69 Cl 0.649 0.400 0.797
70 Cl 0.899 0.523 0.420
71 O 0.005 0.316 0.391
72 O 0.023 0.721 0.889
73 O 0.034 0.371 0.250
74 O 0.039 0.881 0.851
75 O 0.075 0.733 0.740
76 O 0.076 0.828 0.444
77 O 0.080 0.538 0.154
78 O 0.088 0.274 0.047
79 O 0.116 0.521 0.992
80 O 0.116 0.814 0.282
81 O 0.150 0.167 0.483
82 O 0.167 0.150 0.983
83 O 0.172 0.985 0.713
84 O 0.178 0.338 0.370
85 O 0.194 0.433 0.641
86 O 0.210 0.661 0.421
87 O 0.213 0.725 0.610
88 O 0.217 0.610 0.786
89 O 0.230 0.338 0.985
90 O 0.230 0.461 0.836
91 O 0.258 0.819 0.154
92 O 0.274 0.088 0.547
93 O 0.274 0.584 0.547
94 O 0.291 0.336 0.172
95 O 0.316 0.005 0.891
96 O 0.319 0.882 0.029
97 O 0.336 0.291 0.672
98 O 0.338 0.178 0.870
99 O 0.338 0.230 0.485
100 O 0.371 0.034 0.750
101 O 0.377 0.930 0.452
102 O 0.382 0.758 0.090
103 O 0.387 0.585 0.816
104 O 0.399 0.787 0.608
105 O 0.429 0.471 0.432
106 O 0.433 0.194 0.141
107 O 0.449 0.514 0.627
108 O 0.461 0.230 0.336
109 O 0.462 0.962 0.234
110 O 0.471 0.429 0.932
111 O 0.505 0.606 0.090
112 O 0.514 0.449 0.127
113 O 0.521 0.116 0.492
114 O 0.538 0.080 0.654
115 O 0.570 0.667 0.603
116 O 0.575 0.969 0.506
117 O 0.584 0.274 0.047
118 O 0.585 0.387 0.316
119 O 0.606 0.505 0.590
120 O 0.610 0.217 0.286
121 O 0.648 0.710 0.937
122 O 0.661 0.210 0.921
123 O 0.666 0.931 0.745
124 O 0.667 0.570 0.103
125 O 0.679 0.877 0.203
126 O 0.710 0.648 0.437
127 O 0.712 0.836 0.501
128 O 0.721 0.023 0.389
129 O 0.725 0.213 0.110
130 O 0.733 0.075 0.240
131 O 0.758 0.382 0.590
132 O 0.772 0.773 0.857
133 O 0.773 0.772 0.357
134 O 0.787 0.399 0.108
135 O 0.814 0.116 0.782
136 O 0.819 0.258 0.654
137 O 0.828 0.076 0.944
138 O 0.835 0.898 0.062
139 O 0.836 0.712 0.001
140 O 0.868 0.972 0.799
141 O 0.877 0.679 0.703
142 O 0.881 0.039 0.351
143 O 0.882 0.319 0.529
144 O 0.898 0.835 0.562
145 O 0.930 0.377 0.952
146 O 0.931 0.666 0.245
147 O 0.962 0.462 0.734
148 O 0.969 0.575 0.006
149 O 0.972 0.868 0.299
150 O 0.985 0.172 0.213

- energy (eV for the cell shown) = -814.75
- energy relative to the elements (eV/atom) = -2.1466

> energy relative to the elements of number 3 (Na3Pb2S3ClO12)?

-2.0134 eV/atom